[1]
{
  "formula": "Y2MgSe4",
  "functional": "PBE",
  "state": "relaxed",
  "lattice": [[-1.198, 2.862, -2.560], [-12.505, -1.853, 3.780], [1.619, 9.740, 10.132]],
  "species": ["Y", "Y", "Y", "Y", "Y", "Y", "Y", "Y", "Mg", "Mg", "Mg", "Mg", "Se", "Se", "Se", "Se", "Se", "Se", "Se", "Se", "Se", "Se", "Se", "Se", "Se", "Se", "Se", "Se"],
  "fractional_positions": [[0.250, 0.116, 0.073], [0.750, 0.884, 0.927], [0.750, 0.384, 0.573], [0.250, 0.616, 0.427], [0.250, 0.143, 0.702], [0.750, 0.857, 0.298], [0.750, 0.357, 0.202], [0.250, 0.643, 0.798], [0.750, 0.109, 0.456], [0.250, 0.891, 0.544], [0.250, 0.391, 0.956], [0.750, 0.609, 0.044], [0.750, 0.008, 0.618], [0.250, 0.992, 0.382], [0.250, 0.492, 0.118], [0.750, 0.508, 0.882], [0.250, 0.028, 0.881], [0.750, 0.972, 0.119], [0.750, 0.472, 0.381], [0.250, 0.528, 0.619], [0.250, 0.221, 0.248], [0.750, 0.779, 0.752], [0.750, 0.279, 0.748], [0.250, 0.721, 0.252], [0.750, 0.261, 0.013], [0.250, 0.739, 0.987], [0.250, 0.239, 0.513], [0.750, 0.761, 0.487]],
  "relative_energy_kj_per_mol_atoms": 5.7
}


[2]
{
  "formula": "K2SmNb5O15",
  "functional": "PBE",
  "state": "relaxed",
  "lattice": [[12.771, 0.000, 0.000], [0.000, 12.771, 0.000], [0.000, 0.000, 3.964]],
  "species": ["K", "K", "K", "K", "Sm", "Sm", "Nb", "Nb", "Nb", "Nb", "Nb", "Nb", "Nb", "Nb", "Nb", "Nb", "O", "O", "O", "O", "O", "O", "O", "O", "O", "O", "O", "O", "O", "O", "O", "O", "O", "O", "O", "O", "O", "O", "O", "O", "O", "O", "O", "O", "O", "O"],
  "fractional_positions": [[0.670, 0.170, 0.500], [0.330, 0.830, 0.500], [0.170, 0.330, 0.500], [0.830, 0.670, 0.500], [0.000, 0.000, 0.500], [0.500, 0.500, 0.500], [0.500, 0.000, 0.000], [0.000, 0.500, 0.000], [0.213, 0.077, 0.000], [0.787, 0.923, 0.000], [0.077, 0.787, 0.000], [0.713, 0.423, 0.000], [0.923, 0.213, 0.000], [0.287, 0.577, 0.000], [0.577, 0.713, 0.000], [0.423, 0.287, 0.000], [0.188, 0.079, 0.500], [0.812, 0.921, 0.500], [0.079, 0.812, 0.500], [0.688, 0.421, 0.500], [0.921, 0.188, 0.500], [0.312, 0.579, 0.500], [0.579, 0.688, 0.500], [0.421, 0.312, 0.500], [0.218, 0.718, 0.000], [0.782, 0.282, 0.000], [0.718, 0.782, 0.000], [0.282, 0.218, 0.000], [0.500, 0.000, 0.500], [0.000, 0.500, 0.500], [0.058, 0.131, 0.000], [0.942, 0.869, 0.000], [0.131, 0.942, 0.000], [0.558, 0.369, 0.000], [0.869, 0.058, 0.000], [0.442, 0.631, 0.000], [0.631, 0.558, 0.000], [0.369, 0.442, 0.000], [0.342, 0.999, 0.000], [0.658, 0.001, 0.000], [0.999, 0.658, 0.000], [0.842, 0.501, 0.000], [0.001, 0.342, 0.000], [0.158, 0.499, 0.000], [0.499, 0.842, 0.000], [0.501, 0.158, 0.000]]
}


[3]
{
  "formula": "SbBr6N2",
  "functional": "PBE",
  "state": "relaxed",
  "lattice": [[-6.341, 7.100, 4.645], [-5.548, 0.917, -8.976], [-0.512, -11.862, 5.354]],
  "species": ["Sb", "Sb", "Sb", "Sb", "Br", "Br", "Br", "Br", "Br", "Br", "Br", "Br", "Br", "Br", "Br", "Br", "Br", "Br", "Br", "Br", "Br", "Br", "Br", "Br", "Br", "Br", "Br", "Br", "N", "N", "N", "N", "N", "N", "N", "N"],
  "fractional_positions": [[0.250, 0.750, 0.500], [0.000, 0.000, 0.000], [0.750, 0.250, 0.500], [0.500, 0.500, 0.000], [0.000, 0.256, 0.512], [0.512, 0.256, 0.512], [0.738, 0.494, 0.988], [0.250, 0.494, 0.988], [0.744, 0.000, 0.488], [0.744, 0.488, 0.488], [0.506, 0.262, 0.012], [0.506, 0.750, 0.012], [0.494, 0.750, 0.499], [0.005, 0.750, 0.499], [0.245, 0.000, 0.001], [0.756, 0.000, 0.001], [0.250, 0.506, 0.501], [0.250, 0.995, 0.501], [0.000, 0.755, 0.999], [0.000, 0.244, 0.999], [0.629, 0.129, 0.257], [0.621, 0.621, 0.243], [0.871, 0.371, 0.743], [0.379, 0.379, 0.757], [0.371, 0.871, 0.743], [0.879, 0.879, 0.757], [0.129, 0.629, 0.257], [0.121, 0.121, 0.243], [0.625, 0.657, 0.750], [0.125, 0.093, 0.750], [0.125, 0.657, 0.750], [0.625, 0.093, 0.750], [0.343, 0.375, 0.250], [0.907, 0.875, 0.250], [0.343, 0.875, 0.250], [0.907, 0.375, 0.250]],
  "relative_energy_kj_per_mol_atoms": 0.4
}


Number 1: MP2020-corrected energy -167.62 eV/cell, formation energy -13.4 eV/f.u., volume 26.82 Å³ per atom. Number 2: MP2020-corrected energy -404.94 eV/cell, formation energy -70.8 eV/f.u., volume 14.06 Å³ per atom. Number 3: MP2020-corrected energy -90.22 eV/cell, formation energy 8.1 eV/f.u., volume 33.21 Å³ per atom.